No. 1
Here is a geometry-optimized YbGa2 structure from the Materials Project database. Energies are from r²SCAN.

The structure in POSCAR format:
```
YbGa2
1.0
4.1301 0.0000 0.0000
-2.0650 3.5767 0.0000
0.0000 0.0000 4.0175
Yb Ga
1 2
direct
0.0000 0.0000 0.0000 Yb
0.3333 0.6667 0.5000 Ga
0.6667 0.3333 0.5000 Ga
```

## Properties
E_form ... -2.1 eV/f.u.
Density ... 8.74 g/cm3

No. 2
Here is a geometry-optimized Nd3Se4 structure from the Materials Project database. Energies are from r²SCAN.

The structure in POSCAR format:
```
Nd3Se4
1.0
-4.4698 4.4698 4.4698
4.4698 -4.4698 4.4698
4.4698 4.4698 -4.4698
Nd Se
6 8
direct
0.1250 0.7500 0.8750 Nd
0.2500 0.6250 0.3750 Nd
0.3750 0.2500 0.6250 Nd
0.6250 0.3750 0.2500 Nd
0.7500 0.8750 0.1250 Nd
0.8750 0.1250 0.7500 Nd
0.0000 0.3518 0.5000 Se
0.0000 0.8518 0.5000 Se
0.1482 0.1482 0.1482 Se
0.3518 0.5000 0.0000 Se
0.5000 0.0000 0.3518 Se
0.5000 0.0000 0.8518 Se
0.6482 0.6482 0.6482 Se
0.8518 0.5000 0.0000 Se
```

## Properties
E_form ... -15.0 eV/f.u.
Density ... 6.96 g/cm3

No. 3
Here is a geometry-optimized Ho5CoSb2 structure from the Materials Project database. Energies are from r²SCAN.

The structure in POSCAR format:
```
Ho5CoSb2
1.0
12.1143 0.0000 0.0000
0.0000 8.6717 0.0000
0.0000 0.0000 7.8813
Ho Co Sb
20 4 8
direct
0.0018 0.2500 0.0491 Ho
0.0653 0.5358 0.3238 Ho
0.0653 0.9642 0.3238 Ho
0.1918 0.2500 0.6224 Ho
0.2022 0.7500 0.6554 Ho
0.2978 0.2500 0.1554 Ho
0.3082 0.7500 0.1224 Ho
0.4347 0.0358 0.8238 Ho
0.4347 0.4642 0.8238 Ho
0.4982 0.7500 0.5491 Ho
0.5018 0.2500 0.4509 Ho
0.5653 0.5358 0.1762 Ho
0.5653 0.9642 0.1762 Ho
0.6918 0.2500 0.8776 Ho
0.7022 0.7500 0.8446 Ho
0.7978 0.2500 0.3446 Ho
0.8082 0.7500 0.3776 Ho
0.9347 0.0358 0.6762 Ho
0.9347 0.4642 0.6762 Ho
0.9982 0.7500 0.9509 Ho
0.0091 0.2500 0.4354 Co
0.4909 0.7500 0.9354 Co
0.5091 0.2500 0.0646 Co
0.9909 0.7500 0.5646 Co
0.1726 0.0083 0.9314 Sb
0.1726 0.4917 0.9314 Sb
0.3274 0.5083 0.4314 Sb
0.3274 0.9917 0.4314 Sb
0.6726 0.0083 0.5686 Sb
0.6726 0.4917 0.5686 Sb
0.8274 0.5083 0.0686 Sb
0.8274 0.9917 0.0686 Sb
```

## Properties
E_form ... -6.2 eV/f.u.
Density ... 9.04 g/cm3

No. 4
Here is a geometry-optimized TmAgTe2 structure from the Materials Project database. Energies are from r²SCAN.

The structure in POSCAR format:
```
TmAgTe2
1.0
7.0911 0.0000 0.0000
0.0000 7.0911 0.0000
0.0000 0.0000 4.6078
Tm Ag Te
2 2 4
direct
0.0000 0.5000 0.2031 Tm
0.5000 0.0000 0.7969 Tm
0.0000 0.0000 0.0000 Ag
0.5000 0.5000 0.0000 Ag
0.2018 0.7018 0.7149 Te
0.2982 0.2018 0.2851 Te
0.7018 0.7982 0.2851 Te
0.7982 0.2982 0.7149 Te
```

## Properties
E_form ... -4.2 eV/f.u.
Density ... 7.63 g/cm3

No. 5
Here is a geometry-optimized Ho2MgCu2 structure from the Materials Project database. Energies are from r²SCAN.

The structure in POSCAR format:
```
Ho2MgCu2
1.0
7.5580 0.0000 0.0000
0.0000 7.5580 0.0000
0.0000 0.0000 3.6574
Ho Mg Cu
4 2 4
direct
0.1700 0.3300 0.0000 Ho
0.3300 0.8300 0.0000 Ho
0.6700 0.1700 0.0000 Ho
0.8300 0.6700 0.0000 Ho
0.0000 0.0000 0.5000 Mg
0.5000 0.5000 0.5000 Mg
0.1227 0.6227 0.5000 Cu
0.3773 0.1227 0.5000 Cu
0.6227 0.8773 0.5000 Cu
0.8773 0.3773 0.5000 Cu
```

## Properties
E_form ... -1.3 eV/f.u.
Density ... 7.65 g/cm3

No. 6
Here is a geometry-optimized Cr2CdO4 structure from the Materials Project database. Energies are from r²SCAN.

The structure in POSCAR format:
```
Cr2CdO4
1.0
0.0000 4.3163 4.3163
4.3163 0.0000 4.3163
4.3163 4.3163 0.0000
Cr Cd O
4 2 8
direct
0.0000 0.0000 0.0000 Cr
0.0000 0.0000 0.5000 Cr
0.0000 0.5000 0.0000 Cr
0.5000 0.0000 0.0000 Cr
0.3750 0.3750 0.3750 Cd
0.6250 0.6250 0.6250 Cd
0.1936 0.7688 0.7688 O
0.2312 0.2312 0.2312 O
0.2312 0.2312 0.8064 O
0.2312 0.8064 0.2312 O
0.7688 0.1936 0.7688 O
0.7688 0.7688 0.1936 O
0.7688 0.7688 0.7688 O
0.8064 0.2312 0.2312 O
```

## Properties
E_form ... -14.9 eV/f.u.
Density ... 5.79 g/cm3

Q: Which of these has the highest density?
A: Ho5CoSb2